Entry 1:
Na3V3Cr2O12: relaxed, PBE+U.

Results
- space group = Ia-3d, No. 230
- E_tot (eV per formula unit) = -140.15
- M_tot (μB/atom) = 0.3000

```
Na3V3Cr2O12
1.0
-6.239 6.239 6.239
6.239 -6.239 6.239
6.239 6.239 -6.239
Na V Cr O
12 12 8 48
direct
0.125 0.250 0.375
0.125 0.375 0.750
0.250 0.375 0.125
0.250 0.875 0.625
0.375 0.125 0.250
0.375 0.750 0.125
0.625 0.250 0.875
0.625 0.875 0.750
0.750 0.125 0.375
0.750 0.625 0.875
0.875 0.625 0.250
0.875 0.750 0.625
0.125 0.750 0.875
0.125 0.875 0.250
0.250 0.125 0.875
0.250 0.625 0.375
0.375 0.250 0.625
0.375 0.625 0.750
0.625 0.375 0.250
0.625 0.750 0.375
0.750 0.375 0.625
0.750 0.875 0.125
0.875 0.125 0.750
0.875 0.250 0.125
0.000 0.000 0.000
0.000 0.000 0.500
0.000 0.500 0.000
0.000 0.500 0.500
0.500 0.000 0.000
0.500 0.000 0.500
0.500 0.500 0.000
0.500 0.500 0.500
0.008 0.197 0.111
0.008 0.311 0.897
0.085 0.697 0.689
0.085 0.889 0.397
0.103 0.611 0.415
0.103 0.992 0.689
0.111 0.008 0.197
0.111 0.603 0.915
0.189 0.197 0.585
0.189 0.492 0.603
0.197 0.111 0.008
0.197 0.585 0.189
0.303 0.311 0.915
0.303 0.492 0.389
0.311 0.897 0.008
0.311 0.915 0.303
0.389 0.303 0.492
0.389 0.585 0.897
0.397 0.085 0.889
0.397 0.811 0.508
0.415 0.103 0.611
0.415 0.811 0.803
0.492 0.389 0.303
0.492 0.603 0.189
0.508 0.397 0.811
0.508 0.611 0.697
0.585 0.189 0.197
0.585 0.897 0.389
0.603 0.189 0.492
0.603 0.915 0.111
0.611 0.415 0.103
0.611 0.697 0.508
0.689 0.085 0.697
0.689 0.103 0.992
0.697 0.508 0.611
0.697 0.689 0.085
0.803 0.415 0.811
0.803 0.889 0.992
0.811 0.508 0.397
0.811 0.803 0.415
0.889 0.397 0.085
0.889 0.992 0.803
0.897 0.008 0.311
0.897 0.389 0.585
0.915 0.111 0.603
0.915 0.303 0.311
0.992 0.689 0.103
0.992 0.803 0.889
```

Entry 2:
MnSiO3: relaxed, PBE+U.

Results
- space group = P-1, No. 2
- E_tot (eV per formula unit) = -39.65
- M_tot (μB/atom) = 1.0000

```
MnSiO3
1.0
6.819 0.000 0.000
-0.655 7.681 0.000
-1.811 -0.771 16.145
Mn Si O
14 14 42
direct
0.044 0.068 0.105
0.067 0.531 0.608
0.159 0.612 0.807
0.173 0.147 0.312
0.204 0.690 0.018
0.265 0.240 0.508
0.379 0.854 0.208
0.621 0.146 0.792
0.735 0.760 0.492
0.796 0.310 0.982
0.827 0.853 0.688
0.841 0.388 0.193
0.933 0.469 0.392
0.956 0.932 0.895
0.119 0.204 0.754
0.218 0.837 0.471
0.238 0.287 0.936
0.316 0.916 0.664
0.323 0.456 0.190
0.422 0.542 0.381
0.493 0.819 0.910
0.507 0.181 0.090
0.578 0.458 0.619
0.677 0.544 0.810
0.684 0.084 0.336
0.762 0.713 0.064
0.782 0.163 0.529
0.881 0.796 0.246
0.030 0.695 0.479
0.056 0.170 0.972
0.072 0.395 0.725
0.073 0.924 0.225
0.138 0.308 0.193
0.152 0.765 0.690
0.173 0.018 0.428
0.178 0.484 0.930
0.236 0.110 0.683
0.250 0.388 0.395
0.256 0.842 0.906
0.279 0.217 0.841
0.280 0.621 0.135
0.332 0.901 0.563
0.353 0.017 0.103
0.354 0.479 0.579
0.382 0.737 0.422
0.412 0.561 0.279
0.445 0.264 0.997
0.463 0.076 0.288
0.495 0.652 0.841
0.505 0.348 0.159
0.537 0.924 0.712
0.555 0.736 0.003
0.588 0.439 0.721
0.618 0.263 0.578
0.646 0.521 0.421
0.647 0.983 0.897
0.668 0.099 0.437
0.720 0.379 0.865
0.721 0.783 0.159
0.744 0.158 0.094
0.750 0.612 0.605
0.764 0.890 0.317
0.822 0.516 0.070
0.827 0.982 0.572
0.848 0.235 0.310
0.862 0.692 0.807
0.927 0.076 0.775
0.928 0.605 0.275
0.944 0.830 0.028
0.970 0.305 0.521
```

Entry 3:
KMnO4: relaxed, PBE+U.

Results
- space group = Pnma, No. 62
- E_tot (eV per formula unit) = -34.27
- M_tot (μB/atom) = 0.0000

```
KMnO4
1.0
9.032 0.000 0.000
0.000 6.168 0.000
0.000 0.000 7.480
K Mn O
4 4 16
direct
0.184 0.250 0.167
0.316 0.750 0.667
0.684 0.250 0.333
0.816 0.750 0.833
0.086 0.250 0.679
0.414 0.750 0.179
0.586 0.250 0.821
0.914 0.750 0.321
0.029 0.750 0.487
0.063 0.036 0.802
0.063 0.464 0.802
0.248 0.750 0.101
0.252 0.250 0.601
0.437 0.536 0.302
0.437 0.964 0.302
0.471 0.250 0.987
0.529 0.750 0.013
0.563 0.036 0.698
0.563 0.464 0.698
0.748 0.750 0.399
0.752 0.250 0.899
0.937 0.536 0.198
0.937 0.964 0.198
0.971 0.250 0.513
```

Entry 4:
LiMnF4: relaxed, PBE+U.

Results
- space group = P2/c, No. 13
- E_tot (eV per formula unit) = -32.71

```
LiMnF4
1.0
4.641 0.000 0.000
0.000 5.555 0.000
-0.475 0.000 5.317
Li Mn F
2 2 8
direct
0.000 0.145 0.250
0.000 0.855 0.750
0.500 0.345 0.750
0.500 0.655 0.250
0.244 0.119 0.598
0.244 0.881 0.098
0.273 0.402 0.089
0.273 0.598 0.589
0.727 0.402 0.411
0.727 0.598 0.911
0.756 0.119 0.902
0.756 0.881 0.402
```

Entry 5:
Gd2Mo3O12: relaxed, PBE+U.

Results
- space group = C2/c, No. 15
- energy above the lowest structure with this stoichiometry (meV/atom) = 24
- M_tot (μB/atom) = 0.8235

```
Gd2Mo3O12
1.0
3.845 -5.780 0.000
3.845 5.780 0.000
-3.809 0.000 10.960
Gd Mo O
4 6 24
direct
0.048 0.303 0.092
0.303 0.048 0.592
0.697 0.952 0.408
0.952 0.697 0.908
0.122 0.878 0.250
0.199 0.480 0.442
0.480 0.199 0.942
0.520 0.801 0.058
0.801 0.520 0.558
0.878 0.122 0.750
0.012 0.591 0.219
0.031 0.947 0.111
0.053 0.969 0.389
0.100 0.673 0.586
0.222 0.353 0.299
0.225 0.633 0.041
0.321 0.385 0.552
0.327 0.900 0.914
0.353 0.222 0.799
0.367 0.775 0.459
0.385 0.321 0.052
0.409 0.988 0.281
0.591 0.012 0.719
0.615 0.679 0.948
0.633 0.225 0.541
0.647 0.778 0.201
0.673 0.100 0.086
0.679 0.615 0.448
0.775 0.367 0.959
0.778 0.647 0.701
0.900 0.327 0.414
0.947 0.031 0.611
0.969 0.053 0.889
0.988 0.409 0.781
```

Entry 6:
Li9Mn2Co5O16: relaxed, PBE+U.

Results
- space group = P1, No. 1
- energy above the lowest structure with this stoichiometry (meV/atom) = 14
- M_tot (μB/atom) = 0.3125

```
Li9Mn2Co5O16
1.0
5.138 0.000 0.000
1.736 5.552 0.000
1.692 -0.400 9.938
Li Mn Co O
9 2 5 16
direct
0.000 0.000 0.000
0.000 0.236 0.745
0.001 0.743 0.743
0.002 0.485 0.494
0.003 0.733 0.245
0.004 0.245 0.245
0.004 0.991 0.492
0.009 0.476 0.003
0.503 0.359 0.120
0.499 0.868 0.119
0.504 0.610 0.875
0.501 0.121 0.363
0.502 0.118 0.873
0.504 0.364 0.619
0.504 0.869 0.617
0.507 0.604 0.363
0.264 0.416 0.315
0.267 0.172 0.561
0.270 0.920 0.294
0.276 0.665 0.556
0.278 0.157 0.051
0.281 0.426 0.817
0.282 0.682 0.049
0.288 0.920 0.810
0.721 0.807 0.936
0.725 0.066 0.692
0.726 0.813 0.437
0.727 0.308 0.925
0.730 0.563 0.693
0.730 0.570 0.187
0.731 0.034 0.180
0.739 0.299 0.434
```

Entry 7:
MnAl2Si2O10: relaxed, PBE+U.

Results
- space group = Ccce, No. 68
- E_tot (eV per formula unit) = -108.14
- M_tot (μB/atom) = 0.0666

```
MnAl2Si2O10
1.0
6.755 -9.778 0.000
6.755 9.778 0.000
0.000 0.000 5.196
Mn Al Si O
4 8 8 40
direct
0.115 0.885 0.750
0.385 0.615 0.750
0.615 0.385 0.250
0.885 0.115 0.250
0.036 0.964 0.250
0.060 0.560 0.750
0.440 0.940 0.750
0.464 0.536 0.250
0.536 0.464 0.750
0.560 0.060 0.250
0.940 0.440 0.250
0.964 0.036 0.750
0.082 0.314 0.573
0.186 0.418 0.073
0.314 0.082 0.073
0.418 0.186 0.573
0.582 0.814 0.427
0.686 0.918 0.927
0.814 0.582 0.927
0.918 0.686 0.427
0.016 0.412 0.564
0.023 0.821 0.427
0.026 0.105 0.083
0.088 0.484 0.064
0.102 0.726 0.853
0.105 0.026 0.583
0.165 0.329 0.826
0.171 0.335 0.326
0.179 0.977 0.073
0.226 0.602 0.647
0.274 0.898 0.647
0.321 0.523 0.073
0.329 0.165 0.326
0.335 0.171 0.826
0.395 0.474 0.583
0.398 0.774 0.853
0.412 0.016 0.064
0.474 0.395 0.083
0.477 0.679 0.427
0.484 0.088 0.564
0.516 0.912 0.436
0.523 0.321 0.573
0.526 0.605 0.917
0.588 0.984 0.936
0.602 0.226 0.147
0.605 0.526 0.417
0.665 0.829 0.174
0.671 0.835 0.674
0.679 0.477 0.927
0.726 0.102 0.353
0.774 0.398 0.353
0.821 0.023 0.927
0.829 0.665 0.674
0.835 0.671 0.174
0.895 0.974 0.417
0.898 0.274 0.147
0.912 0.516 0.936
0.974 0.895 0.917
0.977 0.179 0.573
0.984 0.588 0.436
```

Entry 8:
LaMgCrFeO6: relaxed, PBE+U.

Results
- space group = Pc, No. 7
- E_tot (eV per formula unit) = -71.70
- M_tot (μB/atom) = 0.7000

```
LaMgCrFeO6
1.0
5.349 0.000 0.000
0.000 5.498 0.000
-5.317 0.000 7.629
La Mg Cr Fe O
2 2 2 2 12
direct
0.000 0.216 0.000
0.000 0.784 0.500
0.542 0.305 0.502
0.542 0.695 0.002
0.258 0.255 0.748
0.258 0.745 0.248
0.761 0.247 0.252
0.761 0.753 0.752
0.149 0.231 0.509
0.149 0.769 0.009
0.428 0.292 0.995
0.428 0.708 0.495
0.507 0.042 0.310
0.507 0.958 0.810
0.588 0.483 0.807
0.588 0.517 0.307
0.896 0.052 0.692
0.896 0.948 0.192
0.985 0.487 0.198
0.985 0.513 0.698
```

Entry 9:
ZnW4O8: relaxed, PBE+U.

Results
- space group = R-3m, No. 166
- energy above the lowest structure with this stoichiometry (meV/atom) = 183
- M_tot (μB/atom) = 0.7692

```
ZnW4O8
1.0
3.279 1.893 4.834
-3.279 1.893 4.834
0.000 -3.787 4.834
Zn W O
1 4 8
direct
0.000 0.000 0.000
0.000 0.000 0.500
0.000 0.500 0.000
0.500 0.000 0.000
0.500 0.500 0.500
0.225 0.748 0.748
0.229 0.229 0.229
0.252 0.252 0.775
0.252 0.775 0.252
0.748 0.225 0.748
0.748 0.748 0.225
0.771 0.771 0.771
0.775 0.252 0.252
```